(1)
First-principles (PBE) data for a relaxed structure of Eu2Cd2As3, as listed in the Materials Project database.

- energy of formation (kJ/mol of formula units) = -517.3
- SG = C2/m, No. 12
- density (g cm⁻³) = 6.9
- total DFT energy (no corrections) (eV per atom) = -5.96

Geometry as POSCAR:
```
Eu2Cd2As3
1.0
2.236 8.167 0.000
-2.236 8.167 0.000
0.000 7.323 9.930
As Eu Cd
6 4 4
direct
0.162 0.162 0.181
0.918 0.918 0.120
0.629 0.629 0.528
0.838 0.838 0.819
0.082 0.082 0.880
0.371 0.371 0.472
0.269 0.269 0.329
0.606 0.606 0.048
0.731 0.731 0.671
0.394 0.394 0.952
0.953 0.953 0.315
0.408 0.408 0.658
0.047 0.047 0.685
0.592 0.592 0.342
```


(2)
First-principles (PBE) data for a relaxed structure of Na2Hf4Zr4Si5S7O48, as listed in the Materials Project database.

- energy of formation (kJ/mol of formula units) = -19424.0
- SG = P1, No. 1
- density (g cm⁻³) = 3.4
- total DFT energy (no corrections) (eV per atom) = -7.69

Geometry as POSCAR:
```
Na2Hf4Zr4Si5S7O48
1.0
18.015 -0.016 0.000
-4.511 7.803 0.005
0.000 0.014 23.427
Si O Zr S Hf Na
15 144 12 21 12 6
direct
0.498 0.711 0.751
0.522 0.669 0.416
0.024 0.376 0.915
0.978 0.326 0.585
0.144 0.008 0.249
0.478 0.629 0.084
0.335 0.633 0.584
0.810 0.952 0.415
0.834 0.038 0.084
0.524 0.373 0.918
0.644 0.281 0.749
0.312 0.671 0.915
0.004 0.715 0.752
0.023 0.666 0.419
0.504 0.291 0.252
0.930 0.353 0.639
0.408 0.019 0.090
0.085 0.695 0.472
0.427 0.495 0.422
0.742 0.122 0.634
0.254 0.868 0.075
0.414 0.514 0.742
0.490 0.820 0.093
0.606 0.031 0.301
0.897 0.815 0.198
0.079 0.469 0.973
0.513 0.184 0.913
0.752 0.855 0.071
0.180 0.873 0.866
0.349 0.533 0.529
0.652 0.458 0.468
0.182 0.483 0.365
0.424 0.305 0.532
0.012 0.829 0.695
0.345 0.148 0.032
0.156 0.839 0.259
0.181 0.875 0.576
0.512 0.193 0.195
0.070 0.495 0.574
0.815 0.139 0.421
0.922 0.315 0.240
0.743 0.134 0.925
0.158 0.464 0.468
0.566 0.495 0.862
0.395 0.976 0.698
0.063 0.642 0.077
0.089 0.970 0.908
0.265 0.692 0.972
0.917 0.525 0.746
0.320 0.127 0.423
0.773 0.848 0.760
0.067 0.499 0.860
0.342 0.153 0.740
0.923 0.545 0.033
0.315 0.491 0.921
0.509 0.824 0.694
0.850 0.168 0.030
0.101 0.183 0.093
0.092 0.209 0.699
0.846 0.534 0.240
0.848 0.154 0.745
0.579 0.689 0.472
0.253 0.648 0.860
0.898 0.820 0.909
0.760 0.643 0.865
0.742 0.359 0.424
0.319 0.500 0.638
0.604 0.180 0.091
0.242 0.353 0.424
0.103 0.179 0.802
0.657 0.855 0.258
0.913 0.030 0.802
0.564 0.487 0.574
0.269 0.849 0.758
0.512 0.834 0.403
0.347 0.540 0.245
0.845 0.543 0.531
0.230 0.151 0.531
0.684 0.884 0.866
0.241 0.124 0.925
0.584 0.473 0.973
0.156 0.458 0.758
0.417 0.309 0.246
0.659 0.853 0.969
0.486 0.181 0.592
0.407 0.836 0.913
0.925 0.501 0.423
0.178 0.486 0.075
0.083 0.975 0.194
0.241 0.126 0.635
0.097 0.031 0.305
0.898 0.979 0.700
0.588 0.476 0.261
0.251 0.646 0.570
0.770 0.688 0.257
0.152 0.845 0.969
0.584 0.197 0.693
0.728 0.151 0.532
0.820 0.140 0.138
0.934 0.513 0.135
0.918 0.026 0.098
0.907 0.983 0.408
0.683 0.489 0.077
0.773 0.695 0.969
0.272 0.849 0.468
0.571 0.647 0.074
0.431 0.507 0.139
0.819 0.519 0.634
0.602 0.023 0.590
0.088 0.700 0.761
0.067 0.636 0.361
0.909 0.785 0.300
0.230 0.300 0.743
0.730 0.309 0.032
0.985 0.792 0.093
0.012 0.188 0.904
0.679 0.871 0.574
0.103 0.026 0.589
0.479 0.791 0.807
0.567 0.636 0.360
0.590 0.971 0.913
0.488 0.164 0.306
0.258 0.872 0.365
0.990 0.158 0.591
0.981 0.182 0.301
0.765 0.836 0.472
0.426 0.348 0.924
0.743 0.357 0.135
0.009 0.203 0.198
0.739 0.299 0.741
0.239 0.175 0.241
0.225 0.300 0.033
0.928 0.359 0.922
0.660 0.474 0.758
0.594 0.979 0.199
0.319 0.118 0.135
0.589 0.208 0.408
0.411 0.795 0.302
0.408 0.036 0.800
0.584 0.697 0.757
0.089 0.209 0.411
0.733 0.163 0.243
0.436 0.360 0.634
0.680 0.487 0.365
0.076 0.457 0.256
0.753 0.858 0.359
0.755 0.640 0.574
0.988 0.812 0.806
0.417 0.817 0.594
0.417 0.539 0.029
0.822 0.514 0.925
0.908 0.797 0.589
0.396 0.816 0.200
0.396 0.974 0.408
0.013 0.836 0.412
0.242 0.362 0.135
0.600 0.167 0.806
0.918 0.296 0.528
0.271 0.694 0.260
0.000 0.996 0.648
0.499 0.000 0.852
0.001 0.990 0.357
0.840 0.325 0.978
0.341 0.332 0.189
0.655 0.643 0.807
0.839 0.347 0.690
0.342 0.357 0.976
0.840 0.324 0.478
0.341 0.355 0.481
0.160 0.674 0.310
0.499 0.003 0.147
0.831 0.622 0.582
0.857 0.000 0.752
0.645 0.004 0.251
0.310 0.954 0.417
0.998 0.287 0.249
0.190 0.046 0.583
0.168 0.381 0.417
0.689 0.045 0.583
0.667 0.955 0.917
0.330 0.040 0.082
0.978 0.622 0.084
0.356 0.712 0.252
0.166 0.952 0.917
0.666 0.381 0.417
0.810 0.666 0.917
0.145 0.286 0.751
0.189 0.334 0.084
0.855 0.708 0.249
0.690 0.335 0.083
0.354 0.000 0.749
0.479 0.333 0.584
0.661 0.663 0.025
0.499 0.005 0.358
0.832 0.324 0.183
0.168 0.655 0.016
0.661 0.666 0.313
0.667 0.681 0.518
0.002 0.999 0.144
0.503 0.994 0.648
0.337 0.350 0.686
0.998 0.991 0.857
0.162 0.661 0.527
0.163 0.657 0.812
0.995 0.000 0.499
0.833 0.342 0.829
0.836 0.333 0.340
0.494 0.992 0.993
0.342 0.350 0.835
0.336 0.328 0.331
```


(3)
First-principles (PBE) data for a relaxed structure of HoCuSe2, as listed in the Materials Project database.

- energy of formation (kJ/mol of formula units) = -519.7
- SG = P-3m1, No. 164
- density (g cm⁻³) = 7.4
- total DFT energy (no corrections) (eV per atom) = -5.03

Geometry as POSCAR:
```
HoCuSe2
1.0
-3.607 1.572 0.519
0.583 -2.746 -2.805
-1.386 -4.559 4.174
Se Cu Ho
2 1 1
direct
0.667 0.333 0.769
0.333 0.667 0.231
0.000 0.000 0.000
0.000 0.000 0.500
```


(4)
First-principles (PBE) data for a relaxed structure of KBi2F7, as listed in the Materials Project database.

- energy of formation (kJ/mol of formula units) = -2690.7
- SG = P1, No. 1
- density (g cm⁻³) = 5.9
- total DFT energy (no corrections) (eV per atom) = -4.69
- distance to the lowest polymorph of the same formula (meV/atom) = 0
- piezoelectric modulus e_max (C/m²) = 14.0

Geometry as POSCAR:
```
KBi2F7
1.0
3.984 0.000 0.000
1.961 3.857 0.000
0.517 0.023 10.764
Bi K F
2 1 7
direct
0.373 0.199 0.338
0.949 0.102 0.977
0.727 0.659 0.671
0.383 0.324 0.890
0.727 0.614 0.362
0.129 0.067 0.515
0.052 0.967 0.257
0.691 0.688 0.985
0.398 0.283 0.132
0.046 0.003 0.777
```


(5)
First-principles (PBE) data for a relaxed structure of Ba6MgSc2C2O6F14, as listed in the Materials Project database.

- energy of formation (kJ/mol of formula units) = -10324.3
- SG = C2/m, No. 12
- density (g cm⁻³) = 4.2
- total DFT energy (no corrections) (eV per atom) = -6.36
- distance to the lowest polymorph of the same formula (meV/atom) = 132

Geometry as POSCAR:
```
Ba6MgSc2C2O6F14
1.0
-3.962 -2.578 -4.336
5.498 1.691 -7.080
3.639 -7.990 2.475
Mg F C Ba O Sc
1 14 2 6 6 2
direct
0.500 0.000 0.000
0.693 0.875 0.125
0.913 0.876 0.397
0.307 0.125 0.875
0.000 0.848 0.848
0.087 0.397 0.876
0.444 0.872 0.360
0.913 0.603 0.124
0.500 0.163 0.163
0.500 0.837 0.837
0.556 0.128 0.640
0.000 0.152 0.152
0.556 0.360 0.872
0.444 0.640 0.128
0.087 0.124 0.603
0.268 0.480 0.520
0.732 0.520 0.480
0.880 0.147 0.853
0.120 0.853 0.147
0.750 0.163 0.396
0.250 0.396 0.163
0.750 0.604 0.837
0.250 0.837 0.604
0.294 0.523 0.663
0.218 0.573 0.427
0.782 0.427 0.573
0.706 0.477 0.337
0.706 0.663 0.523
0.294 0.337 0.477
0.687 0.714 0.286
0.313 0.286 0.714
```


(6)
First-principles (PBE) data for a relaxed structure of Tm2CuO4, as listed in the Materials Project database.

- energy of formation (kJ/mol of formula units) = -2133.7
- SG = P2_1/c, No. 14
- density (g cm⁻³) = 9.0
- total DFT energy (no corrections) (eV per atom) = -7.46

Geometry as POSCAR:
```
Tm2CuO4
1.0
7.701 0.052 -0.098
3.876 3.878 -0.099
-1.347 -1.351 5.832
Tm O Cu
4 8 2
direct
0.520 0.303 0.689
0.980 0.343 0.689
0.480 0.697 0.311
0.020 0.657 0.311
0.252 0.252 0.526
0.305 0.512 0.033
0.248 0.756 0.526
0.805 0.878 0.967
0.752 0.244 0.474
0.695 0.488 0.967
0.748 0.748 0.474
0.195 0.122 0.033
0.500 0.000 0.000
0.000 0.000 0.000
```


(7)
First-principles (PBE) data for a relaxed structure of LiGdIn2, as listed in the Materials Project database.

- energy of formation (kJ/mol of formula units) = 331.6
- SG = Fm-3m, No. 225
- density (g cm⁻³) = 6.7
- total DFT energy (no corrections) (eV per atom) = -4.51

Geometry as POSCAR:
```
LiGdIn2
1.0
0.000 3.660 3.660
3.660 0.000 3.660
3.660 3.660 0.000
In Li Gd
2 1 1
direct
0.250 0.250 0.250
0.750 0.750 0.750
0.000 0.000 0.000
0.500 0.500 0.500
```


(8)
First-principles (PBE) data for a relaxed structure of Tm2Si3Pt3, as listed in the Materials Project database.

- energy of formation (kJ/mol of formula units) = 271.9
- SG = P4/mmm, No. 123
- density (g cm⁻³) = 10.0
- total DFT energy (no corrections) (eV per atom) = -5.08

Geometry as POSCAR:
```
Tm2Si3Pt3
1.0
-2.431 0.524 1.434
0.374 -2.410 1.515
10.428 10.355 13.891
Si Pt Tm
3 3 2
direct
0.500 0.500 0.000
0.500 0.500 0.384
0.500 0.500 0.616
0.500 0.500 0.500
0.500 0.500 0.114
0.500 0.500 0.886
0.500 0.500 0.754
0.500 0.500 0.246
```